An optimized crystal structure of BaSe2O5. Source: Materials Project, functional PBE-GGA.

Geometry as extended XYZ:
```
32
Lattice="4.617 0.000 0.000 0.000 12.056 0.000 -0.446 0.000 9.957" Properties=species:S:1:pos:R:3 pbc="T T T"
Ba 0.911 2.030 4.590
Ba 0.688 3.998 9.569
Ba 3.484 8.057 0.388
Ba 3.261 10.026 5.366
Se 0.504 7.281 7.398
Se 0.727 10.803 2.420
Se 1.094 7.031 3.525
Se 0.871 11.053 8.504
Se 3.301 1.003 1.453
Se 3.078 5.025 6.432
Se 3.445 1.253 7.537
Se 3.668 4.775 2.559
O 0.470 0.440 1.576
O 0.247 5.588 6.554
O 0.407 1.874 7.557
O 0.629 4.153 2.579
O 0.885 8.329 4.592
O 0.663 9.754 9.571
O 0.699 6.736 9.002
O 0.922 11.347 4.024
O 1.241 7.744 1.993
O 1.018 10.340 6.972
O 3.154 1.716 2.985
O 2.931 4.312 7.964
O 3.249 0.708 5.933
O 3.472 5.320 0.955
O 3.509 2.302 0.386
O 3.286 3.726 5.365
O 3.542 7.902 7.378
O 3.765 10.181 2.400
O 3.924 6.468 3.402
O 3.702 11.616 8.381
```

Computed properties:
* space-group type: No. 14

***

An optimized crystal structure of Sr2ErBiO6. Source: Materials Project, functional PBE-GGA.

Geometry as extended XYZ:
```
20
Lattice="5.926 0.000 0.000 0.000 6.049 0.000 -5.916 0.000 8.450" Properties=species:S:1:pos:R:3 pbc="T T T"
Sr -0.064 0.264 2.118
Sr -3.021 2.761 6.343
Sr 3.032 3.289 2.107
Sr 0.074 5.785 6.332
Er 2.963 0.000 0.000
Er 0.005 3.025 4.225
Bi -2.958 0.000 4.225
Bi 0.000 3.025 0.000
O -4.726 1.288 8.034
O -1.768 1.737 3.809
O -4.206 4.252 8.058
O -1.248 4.822 3.833
O -2.424 0.186 6.293
O 0.534 2.839 2.067
O -0.524 3.211 6.383
O 2.434 5.863 2.158
O 1.259 1.227 4.617
O 4.217 1.797 0.392
O 1.779 4.312 4.641
O 4.737 4.762 0.416
```

Computed properties:
* total magnetization: 0.00 μB per atom
* space-group type: No. 14

***

An optimized crystal structure of Ba5Ga6O14. Source: Materials Project, functional PBE-GGA.

Geometry as extended XYZ:
```
50
Lattice="6.133 -5.954 0.000 6.133 5.954 0.000 0.000 0.000 11.540" Properties=species:S:1:pos:R:3 pbc="T T T"
Ba 6.133 5.806 5.770
Ba 4.369 2.011 5.290
Ba 4.247 1.547 0.293
Ba 7.897 2.011 5.290
Ba 4.247 -1.547 6.063
Ba 8.019 1.547 0.293
Ba 4.369 -2.011 11.060
Ba 8.019 -1.547 6.063
Ba 7.897 -2.011 11.060
Ba 6.133 -5.806 0.000
Ga 4.448 4.179 8.790
Ga 2.980 1.173 8.551
Ga 6.133 3.579 2.505
Ga 7.818 4.179 8.790
Ga 2.980 -1.173 2.781
Ga 6.133 0.070 8.535
Ga 6.133 -0.070 2.765
Ga 9.286 1.173 8.551
Ga 4.448 -4.179 3.020
Ga 6.133 -3.579 8.275
Ga 9.286 -1.173 2.781
Ga 7.818 -4.179 3.020
O 1.864 1.751 1.202
O 4.561 4.235 1.622
O 3.500 2.691 9.553
O 6.133 4.184 9.584
O 2.575 0.277 3.909
O 6.133 3.642 4.312
O 2.575 -0.277 9.679
O 7.704 4.235 1.622
O 1.864 -1.751 6.972
O 4.577 0.697 7.625
O 6.133 1.730 2.075
O 4.577 -0.697 1.855
O 8.766 2.691 9.553
O 6.133 0.006 10.374
O 6.133 -0.006 4.604
O 3.500 -2.691 3.783
O 7.689 0.697 7.625
O 6.133 -1.730 7.845
O 7.689 -0.697 1.855
O 10.402 1.751 1.202
O 4.561 -4.235 7.391
O 9.690 0.277 3.909
O 6.133 -3.642 10.082
O 9.690 -0.277 9.679
O 6.133 -4.184 3.814
O 8.766 -2.691 3.783
O 7.704 -4.235 7.391
O 10.402 -1.751 6.972
```

Computed properties:
* total magnetization: 0.00 μB per atom
* space-group type: No. 36

***

An optimized crystal structure of KGdP2H4O9. Source: Materials Project, functional PBE-GGA.

Geometry as extended XYZ:
```
68
Lattice="7.792 0.000 0.000 0.000 10.943 0.000 -0.025 0.000 10.355" Properties=species:S:1:pos:R:3 pbc="T T T"
K 1.855 2.210 3.902
K 1.843 3.262 9.080
K 5.925 7.681 1.275
K 5.912 8.733 6.453
Gd 1.935 6.823 1.717
Gd 1.922 9.591 6.895
Gd 5.845 1.351 3.460
Gd 5.833 4.120 8.637
P 0.742 6.671 8.674
P 0.754 9.744 3.497
P 3.607 7.077 8.894
P 3.619 9.337 3.717
P 4.148 1.605 6.638
P 4.160 3.866 1.461
P 7.013 1.199 6.858
P 7.026 4.272 1.681
H 0.428 1.970 0.996
H 0.416 3.501 6.173
H 1.282 0.750 1.373
H 1.269 4.721 6.550
H 1.321 5.480 4.460
H 1.309 10.934 9.638
H 2.818 5.486 4.102
H 2.806 10.928 9.280
H 4.962 0.015 1.075
H 4.949 5.456 6.252
H 6.458 0.009 0.717
H 6.446 5.463 5.894
H 6.498 6.221 3.805
H 6.486 10.193 8.982
H 7.351 7.442 4.182
H 7.339 8.973 9.359
O 0.010 5.481 2.192
O -0.003 10.933 7.370
O 0.543 7.934 7.815
O 0.556 8.480 2.638
O 0.554 6.987 10.158
O 0.566 9.427 4.980
O 1.174 1.418 0.667
O 1.162 4.054 5.845
O 2.037 6.074 4.148
O 2.024 10.340 9.325
O 2.294 6.164 8.468
O 2.307 10.251 3.291
O 2.956 0.698 6.949
O 2.968 4.774 1.771
O 3.486 7.360 0.034
O 3.474 9.054 5.211
O 3.588 8.103 2.817
O 3.575 8.311 7.994
O 4.192 2.631 2.361
O 4.180 2.840 7.538
O 4.294 1.889 5.144
O 4.281 3.583 10.321
O 4.799 6.169 8.584
O 4.811 10.245 3.406
O 5.460 0.692 7.064
O 5.473 4.779 1.887
O 5.743 0.602 1.029
O 5.731 4.869 6.207
O 6.605 6.889 4.510
O 6.593 9.525 9.688
O 7.201 1.516 5.375
O 7.213 3.956 0.197
O 7.212 2.463 7.717
O 7.224 3.009 2.540
O 7.770 0.010 2.985
O 7.758 5.461 8.163
```

Computed properties:
* total magnetization: 0.41 μB per atom
* space-group type: No. 14
* polymorph energy (0 for the lowest one): 25.2 meV/atom

***

An optimized crystal structure of EuP3O9. Source: Materials Project, functional PBE-GGA.

Geometry as extended XYZ:
```
26
Lattice="4.339 -5.689 0.000 4.339 5.689 0.000 0.000 0.000 7.428" Properties=species:S:1:pos:R:3 pbc="T T T"
Eu 1.097 0.000 0.000
Eu 7.581 0.000 3.714
P 2.158 0.000 3.714
P 4.271 1.982 0.348
P 4.407 1.982 3.366
P 4.271 -1.982 7.080
P 4.407 -1.982 4.062
P 6.519 0.000 0.000
O 1.323 0.201 2.470
O 1.323 -0.201 4.958
O 4.164 3.454 3.432
O 4.514 3.454 0.282
O 3.019 1.432 7.154
O 3.139 1.227 4.023
O 4.339 1.437 1.857
O 3.139 -1.227 3.405
O 3.019 -1.432 0.274
O 5.659 1.432 3.988
O 5.538 1.227 7.119
O 4.339 -1.437 5.571
O 5.538 -1.227 0.309
O 5.659 -1.432 3.440
O 4.164 -3.454 3.996
O 4.514 -3.454 7.146
O 7.355 0.201 1.244
O 7.355 -0.201 6.184
```

Computed properties:
* space-group type: No. 20

***

An optimized crystal structure of LuGa3. Source: Materials Project, functional PBE-GGA.

Geometry as extended XYZ:
```
4
Lattice="4.223 0.000 0.000 0.000 4.223 0.000 0.000 0.000 4.223" Properties=species:S:1:pos:R:3 pbc="T T T"
Lu 0.000 0.000 0.000
Ga 0.000 2.111 2.111
Ga 2.111 0.000 2.111
Ga 2.111 2.111 0.000
```

Computed properties:
* space-group type: No. 221

***

An optimized crystal structure of Mg2Ta4O9. Source: Materials Project, functional PBE-GGA.

Geometry as extended XYZ:
```
30
Lattice="5.275 0.000 0.000 -2.638 4.568 0.000 0.000 0.000 14.090" Properties=species:S:1:pos:R:3 pbc="T T T"
Mg 0.000 0.000 2.134
Mg 0.000 0.000 4.911
Mg 0.000 0.000 9.179
Mg 0.000 0.000 11.956
Ta 0.000 3.046 0.126
Ta 0.000 3.046 4.512
Ta 0.000 3.046 7.171
Ta 0.000 3.046 11.557
Ta 2.638 1.523 2.533
Ta 2.638 1.523 6.918
Ta 2.638 1.523 9.578
Ta 2.638 1.523 13.963
O -0.828 1.435 3.522
O -1.809 3.134 10.567
O -0.846 1.561 12.847
O -1.709 3.055 5.802
O 1.657 0.000 3.522
O 0.828 1.435 10.567
O 0.846 1.561 5.802
O -0.863 4.521 12.847
O 1.775 0.047 8.287
O 0.929 1.513 1.243
O 1.709 3.055 12.847
O 0.863 4.521 5.802
O 3.500 0.047 1.243
O 1.791 3.008 8.287
O 3.618 0.000 10.567
O 1.809 3.134 3.522
O 4.347 1.513 8.287
O 3.484 3.008 1.243
```

Computed properties:
* total magnetization: 0.01 μB per atom
* space-group type: No. 165

***

An optimized crystal structure of Nd11Ti16O48. Source: Materials Project, functional PBE-GGA.

Geometry as extended XYZ:
```
150
Lattice="64.099 0.000 0.000 0.000 3.851 3.891 0.000 -3.851 3.891" Properties=species:S:1:pos:R:3 pbc="T T T"
Nd 0.000 0.000 0.000
Nd 0.000 0.000 3.849
Nd 4.178 0.000 3.861
Nd 4.226 0.000 0.016
Nd 8.250 0.000 3.879
Nd 12.134 0.000 3.883
Nd 12.174 0.000 7.781
Nd 16.395 0.000 0.010
Nd 20.455 0.000 0.074
Nd 20.479 0.000 3.860
Nd 28.174 0.000 0.016
Nd 28.171 0.000 3.873
Nd 35.925 0.000 0.016
Nd 35.927 0.000 3.873
Nd 43.644 0.000 0.074
Nd 43.619 0.000 3.860
Nd 47.704 0.000 0.010
Nd 51.925 0.000 7.781
Nd 51.964 0.000 3.883
Nd 55.849 0.000 3.879
Nd 59.873 0.000 0.016
Nd 59.920 0.000 3.861
Ti 2.027 -1.911 5.842
Ti 2.027 1.911 5.842
Ti 6.201 -1.937 1.967
Ti 6.201 1.937 1.967
Ti 10.055 -1.892 1.946
Ti 10.055 1.892 1.946
Ti 14.205 -1.914 5.812
Ti 14.205 1.914 5.812
Ti 18.151 -1.896 1.948
Ti 18.151 1.896 1.948
Ti 22.476 -1.903 5.854
Ti 22.476 1.903 5.854
Ti 26.151 -1.897 1.930
Ti 26.151 1.897 1.930
Ti 30.249 -1.923 1.946
Ti 30.249 1.923 1.946
Ti 33.849 -1.923 1.946
Ti 33.849 1.923 1.946
Ti 37.948 -1.897 1.930
Ti 37.948 1.897 1.930
Ti 41.623 -1.903 5.854
Ti 41.623 1.903 5.854
Ti 45.947 -1.896 1.948
Ti 45.947 1.896 1.948
Ti 49.893 -1.914 5.812
Ti 49.893 1.914 5.812
Ti 54.044 -1.892 1.946
Ti 54.044 1.892 1.946
Ti 57.898 -1.937 1.967
Ti 57.898 1.937 1.967
Ti 62.072 -1.911 5.842
Ti 62.072 1.911 5.842
O 0.000 -1.463 5.848
O 0.000 1.463 5.848
O 1.486 0.000 1.879
O 1.907 -1.824 3.898
O 1.907 1.824 3.898
O 2.516 0.000 5.945
O 3.939 -1.480 1.946
O 3.939 1.480 1.946
O 5.588 0.000 5.784
O 5.768 -1.973 3.916
O 5.768 1.973 3.916
O 6.318 0.000 2.194
O 7.981 -1.567 5.757
O 7.981 1.567 5.757
O 9.594 0.000 1.900
O 10.021 -1.710 3.882
O 10.021 1.710 3.882
O 10.479 0.000 5.902
O 11.890 -1.493 1.903
O 11.890 1.493 1.903
O 13.524 0.000 5.836
O 13.709 -1.883 3.832
O 13.709 1.883 3.832
O 14.233 0.000 1.674
O 15.912 -1.576 5.887
O 15.912 1.576 5.887
O 17.583 0.000 2.006
O 17.973 -2.133 3.905
O 17.973 2.133 3.905
O 18.375 0.000 5.780
O 19.906 -1.549 1.983
O 19.906 1.549 1.983
O 21.693 0.000 5.860
O 21.851 -1.923 3.912
O 21.851 1.923 3.912
O 22.092 0.000 1.960
O 24.135 -1.634 5.848
O 24.135 1.634 5.848
O 25.891 0.000 1.953
O 26.340 -1.927 3.897
O 26.340 1.927 3.897
O 26.582 0.000 5.840
O 28.057 -1.551 1.951
O 28.057 1.551 1.951
O 29.627 0.000 5.837
O 29.812 -1.926 3.894
O 29.812 1.926 3.894
O 30.181 0.000 1.948
O 32.049 -1.659 5.838
O 32.049 1.659 5.838
O 33.918 0.000 1.948
O 34.287 -1.926 3.894
O 34.287 1.926 3.894
O 34.471 0.000 5.837
O 36.042 -1.551 1.951
O 36.042 1.551 1.951
O 37.517 0.000 5.840
O 37.759 -1.927 3.897
O 37.759 1.927 3.897
O 38.208 0.000 1.953
O 39.963 -1.634 5.848
O 39.963 1.634 5.848
O 42.007 0.000 1.960
O 42.247 -1.923 3.912
O 42.247 1.923 3.912
O 42.406 0.000 5.860
O 44.193 -1.549 1.983
O 44.193 1.549 1.983
O 45.723 0.000 5.780
O 46.125 -2.133 3.905
O 46.125 2.133 3.905
O 46.515 0.000 2.006
O 48.186 -1.576 5.887
O 48.186 1.576 5.887
O 49.866 0.000 1.674
O 50.390 -1.883 3.832
O 50.390 1.883 3.832
O 50.575 0.000 5.836
O 52.209 -1.493 1.903
O 52.209 1.493 1.903
O 53.620 0.000 5.902
O 54.078 -1.710 3.882
O 54.078 1.710 3.882
O 54.505 0.000 1.900
O 56.118 -1.567 5.757
O 56.118 1.567 5.757
O 57.781 0.000 2.194
O 58.331 -1.973 3.916
O 58.331 1.973 3.916
O 58.511 0.000 5.784
O 60.159 -1.480 1.946
O 60.159 1.480 1.946
O 61.583 0.000 5.945
O 62.191 -1.824 3.898
O 62.191 1.824 3.898
O 62.613 0.000 1.879
```

Computed properties:
* total magnetization: 0.01 μB per atom
* space-group type: No. 38

***

no.,DFT formation energy (eV per atom)
1,-1.918
2,-2.872
3,-2.648
4,-2.429
5,-2.865
6,-0.500
7,-2.800
8,-3.588